(1)
The following is a DFT calculation (PBE-GGA) of an optimized crystal structure of PuBr3.

CIF file:
```
data_PuBr3
_chemical_formula_sum 'Pu4 Br12'
_symmetry_space_group_name_H-M 'C m c m'
_symmetry_Int_Tables_number 63
_symmetry_space_group_name_Hall '-C 2c 2'
_cell_length_a 4.045
_cell_length_b 14.588
_cell_length_c 9.195
_cell_angle_alpha 90.00
_cell_angle_beta 90.00
_cell_angle_gamma 90.00
loop_
_atom_site_label
_atom_site_fract_x
_atom_site_fract_y
_atom_site_fract_z
Pu1 0.000 0.239 0.250
Br1 0.000 0.159 0.569
Br2 0.000 0.402 0.750
```

Values from the calculation:
- ΔE_f: -1.969 eV per atom
- E: -101.818 eV/cell

(2)
The following is a DFT calculation (PBE-GGA) of an optimized crystal structure of Gd3Al5O12.

CIF file:
```
data_Gd3Al5O12
_chemical_formula_sum 'Gd24 Al40 O96'
_symmetry_space_group_name_H-M 'I a -3 d'
_symmetry_Int_Tables_number 230
_symmetry_space_group_name_Hall '-I 4bd 2c 3'
_cell_length_a 12.211
_cell_length_b 12.211
_cell_length_c 12.211
_cell_angle_alpha 90.00
_cell_angle_beta 90.00
_cell_angle_gamma 90.00
loop_
_atom_site_label
_atom_site_fract_x
_atom_site_fract_y
_atom_site_fract_z
Gd1 0.000 0.250 0.125
Al1 0.000 0.000 0.000
Al2 0.000 0.250 0.375
O1 0.031 0.049 0.649
```

Values from the calculation:
- ΔE_f: -3.650 eV per atom
- Magnetic moment: 1.050 μB/atom
- E: -1480.653 eV/cell

(3)
The following is a DFT calculation (PBE-GGA) of an optimized crystal structure of Cd3Fe.

CIF file:
```
data_Cd3Fe
_chemical_formula_sum 'Cd12 Fe4'
_symmetry_space_group_name_H-M 'F m -3 m'
_symmetry_Int_Tables_number 225
_symmetry_space_group_name_Hall '-F 4 2 3'
_cell_length_a 6.732
_cell_length_b 6.732
_cell_length_c 6.732
_cell_angle_alpha 90.00
_cell_angle_beta 90.00
_cell_angle_gamma 90.00
loop_
_atom_site_label
_atom_site_fract_x
_atom_site_fract_y
_atom_site_fract_z
Cd1 0.000 0.000 0.000
Cd2 0.250 0.250 0.250
Fe1 0.000 0.000 0.500
```

Values from the calculation:
- ΔE_f: 0.332 eV per atom
- Magnetic moment: 0.663 μB/atom
- E: -39.642 eV/cell

(4)
The following is a DFT calculation (PBE-GGA) of an optimized crystal structure of BaBi2S4.

CIF file:
```
data_BaBi2S4
_chemical_formula_sum 'Ba9 Bi18 S36'
_symmetry_space_group_name_H-M 'P -6'
_symmetry_Int_Tables_number 174
_cell_length_a 22.0643
_cell_length_b 22.0643
_cell_length_c 4.1817
_cell_angle_alpha 90.00
_cell_angle_beta 90.00
_cell_angle_gamma 120.00
loop_
_symmetry_equiv_pos_as_xyz
'x,y,z'
'-x+y,-x,-z'
'-y,x-y,z'
'x,y,-z'
'-x+y,-x,z'
'-y,x-y,-z'
loop_
_atom_site_label
_atom_site_fract_x
_atom_site_fract_y
_atom_site_fract_z
Ba1 0.0000 0.0000 0.0000
Ba2 0.0825 0.5125 0.5000
Ba3 0.2504 0.1542 0.0000
Ba4 0.3333 0.6667 0.5000
Ba5 0.6667 0.3333 0.5000
Bi1 0.0095 0.3013 0.0000
Bi2 0.0408 0.6762 0.5000
Bi3 0.1042 0.8876 0.5000
Bi4 0.2211 0.4500 0.0000
Bi5 0.4657 0.1397 0.5000
Bi6 0.4713 0.3397 0.0000
S1 0.0157 0.5791 0.0000
S2 0.0194 0.1715 0.0000
S3 0.0663 0.7757 0.0000
S4 0.1088 0.3763 0.5000
S5 0.1229 0.1051 0.5000
S6 0.1813 0.6860 0.5000
S7 0.2102 0.5615 0.0000
S8 0.3169 0.0875 0.5000
S9 0.3657 0.2685 0.5000
S10 0.4306 0.0349 0.0000
S11 0.5184 0.2410 0.0000
S12 0.5640 0.3997 0.5000
```

Values from the calculation:
- ΔE_f: -1.179 eV per atom
- E: -292.345 eV/cell

(5)
The following is a DFT calculation (PBE-GGA) of an optimized crystal structure of Na2LiInF6.

CIF file:
```
data_Na2LiInF6
_chemical_formula_sum 'Na8 Li4 In4 F24'
_symmetry_space_group_name_H-M 'F m -3 m'
_symmetry_Int_Tables_number 225
_symmetry_space_group_name_Hall '-F 4 2 3'
_cell_length_a 8.182
_cell_length_b 8.182
_cell_length_c 8.182
_cell_angle_alpha 90.00
_cell_angle_beta 90.00
_cell_angle_gamma 90.00
loop_
_atom_site_label
_atom_site_fract_x
_atom_site_fract_y
_atom_site_fract_z
Na1 0.250 0.250 0.250
Li1 0.000 0.000 0.000
In1 0.000 0.000 0.500
F1 0.000 0.000 0.245
```

Values from the calculation:
- ΔE_f: -2.897 eV per atom
- Magnetic moment: 0.000 μB/atom
- E: -179.965 eV/cell

(6)
The following is a DFT calculation (PBE-GGA) of an optimized crystal structure of RbSe.

CIF file:
```
data_RbSe
_chemical_formula_sum 'Rb6 Se6'
_symmetry_space_group_name_H-M 'P -6 2 m'
_symmetry_Int_Tables_number 189
_symmetry_space_group_name_Hall 'P -6 -2'
_cell_length_a 9.4217
_cell_length_b 9.4217
_cell_length_c 6.3653
_cell_angle_alpha 90.00
_cell_angle_beta 90.00
_cell_angle_gamma 120.00
loop_
_atom_site_label
_atom_site_fract_x
_atom_site_fract_y
_atom_site_fract_z
Rb1 0.0000 0.3125 0.0000
Rb2 0.0000 0.6474 0.5000
Se1 0.0000 0.0000 0.3091
Se2 0.3333 0.6667 0.1919
```

Values from the calculation:
- ΔE_f: -1.164 eV per atom
- E: -37.997 eV/cell
- Piezoelectric modulus e_max: 0.06 C/m2

(7)
The following is a DFT calculation (PBE-GGA) of an optimized crystal structure of ScV9N9.

CIF file:
```
data_ScV9N9
_chemical_formula_sum 'Sc1 V9 N9'
_symmetry_space_group_name_H-M 'P -1'
_symmetry_Int_Tables_number 2
_cell_length_a 5.072
_cell_length_b 5.861
_cell_length_c 6.533
_cell_angle_alpha 76.76
_cell_angle_beta 75.14
_cell_angle_gamma 73.43
loop_
_symmetry_equiv_pos_as_xyz
'x,y,z'
'-x,-y,-z'
loop_
_atom_site_label
_atom_site_fract_x
_atom_site_fract_y
_atom_site_fract_z
Sc1 0.000 0.000 0.000
V1 0.000 0.500 0.000
V2 0.218 0.789 0.589
V3 0.221 0.312 0.593
V4 0.397 0.123 0.210
V5 0.406 0.587 0.215
N1 0.086 0.406 0.306
N2 0.098 0.897 0.313
N3 0.305 0.687 0.906
N4 0.318 0.201 0.895
N5 0.500 0.000 0.500
```

Values from the calculation:
- ΔE_f: -1.245 eV per atom
- Magnetic moment: 0.010 μB/atom
- E: -183.525 eV/cell

(8)
The following is a DFT calculation (PBE-GGA) of an optimized crystal structure of Mn3Zn.

CIF file:
```
data_Mn3Zn
_chemical_formula_sum 'Mn12 Zn4'
_symmetry_space_group_name_H-M 'F m -3 m'
_symmetry_Int_Tables_number 225
_symmetry_space_group_name_Hall '-F 4 2 3'
_cell_length_a 5.826
_cell_length_b 5.826
_cell_length_c 5.826
_cell_angle_alpha 90.00
_cell_angle_beta 90.00
_cell_angle_gamma 90.00
loop_
_atom_site_label
_atom_site_fract_x
_atom_site_fract_y
_atom_site_fract_z
Mn1 0.000 0.000 0.000
Mn2 0.250 0.250 0.250
Zn1 0.000 0.000 0.500
```

Values from the calculation:
- ΔE_f: 0.193 eV per atom
- Magnetic moment: 1.250 μB/atom
- E: -111.891 eV/cell

(9)
The following is a DFT calculation (PBE-GGA) of an optimized crystal structure of Ti2NiS4.

CIF file:
```
data_Ti2NiS4
_chemical_formula_sum 'Ti4 Ni2 S8'
_symmetry_space_group_name_H-M 'C 1 2/m 1'
_symmetry_Int_Tables_number 12
_cell_length_a 12.732
_cell_length_b 3.408
_cell_length_c 5.869
_cell_angle_alpha 90.00
_cell_angle_beta 117.37
_cell_angle_gamma 90.00
loop_
_symmetry_equiv_pos_as_xyz
'x,y,z'
'-x,-y,-z'
'-x,y,-z'
'x,-y,z'
'x+1/2,y+1/2,z'
'-x+1/2,-y+1/2,-z'
'-x+1/2,y+1/2,-z'
'x+1/2,-y+1/2,z'
loop_
_atom_site_label
_atom_site_fract_x
_atom_site_fract_y
_atom_site_fract_z
Ti1 0.244 0.000 0.238
Ni1 0.000 0.500 0.500
S1 0.119 0.500 0.947
S2 0.123 0.000 0.460
```

Values from the calculation:
- ΔE_f: -1.431 eV per atom
- E: -92.245 eV/cell

(10)
The following is a DFT calculation (PBE-GGA) of an optimized crystal structure of PmGePd2.

CIF file:
```
data_PmGePd2
_chemical_formula_sum 'Pm4 Ge4 Pd8'
_symmetry_space_group_name_H-M 'F m -3 m'
_symmetry_Int_Tables_number 225
_symmetry_space_group_name_Hall '-F 4 2 3'
_cell_length_a 6.746
_cell_length_b 6.746
_cell_length_c 6.746
_cell_angle_alpha 90.00
_cell_angle_beta 90.00
_cell_angle_gamma 90.00
loop_
_atom_site_label
_atom_site_fract_x
_atom_site_fract_y
_atom_site_fract_z
Pm1 0.000 0.000 0.000
Ge1 0.000 0.000 0.500
Pd1 0.250 0.250 0.250
```

Values from the calculation:
- ΔE_f: -0.663 eV per atom
- E: -89.544 eV/cell

(11)
The following is a DFT calculation (PBE-GGA) of an optimized crystal structure of SrCe3.

CIF file:
```
data_SrCe3
_chemical_formula_sum 'Sr1 Ce3'
_symmetry_space_group_name_H-M 'P m -3 m'
_symmetry_Int_Tables_number 221
_symmetry_space_group_name_Hall '-P 4 2 3'
_cell_length_a 5.067
_cell_length_b 5.067
_cell_length_c 5.067
_cell_angle_alpha 90.00
_cell_angle_beta 90.00
_cell_angle_gamma 90.00
loop_
_atom_site_label
_atom_site_fract_x
_atom_site_fract_y
_atom_site_fract_z
Sr1 0.000 0.000 0.000
Ce1 0.000 0.500 0.500
```

Values from the calculation:
- ΔE_f: 0.369 eV per atom
- Magnetic moment: 0.820 μB/atom
- E: -18.012 eV/cell

(12)
The following is a DFT calculation (PBE-GGA) of an optimized crystal structure of CaTi3O7.

CIF file:
```
data_CaTi3O7
_chemical_formula_sum 'Ca4 Ti12 O28'
_symmetry_space_group_name_H-M 'P n m a'
_symmetry_Int_Tables_number 62
_cell_length_a 10.948
_cell_length_b 10.582
_cell_length_c 5.444
_cell_angle_alpha 90.00
_cell_angle_beta 90.00
_cell_angle_gamma 90.00
loop_
_symmetry_equiv_pos_as_xyz
'x,y,z'
'-x,-y,-z'
'-x+1/2,-y,z+1/2'
'x+1/2,y,-z+1/2'
'x+1/2,-y+1/2,-z+1/2'
'-x+1/2,y+1/2,z+1/2'
'-x,y+1/2,-z'
'x,-y+1/2,z'
loop_
_atom_site_label
_atom_site_fract_x
_atom_site_fract_y
_atom_site_fract_z
Ca1 0.067 0.250 0.174
Ti1 0.193 0.527 0.699
Ti2 0.218 0.750 0.190
O1 0.048 0.580 0.717
O2 0.065 0.750 0.169
O3 0.219 0.119 0.457
O4 0.224 0.120 0.934
```

Values from the calculation:
- ΔE_f: -3.478 eV per atom
- Magnetic moment: 0.000 μB/atom
- E: -375.103 eV/cell

(13)
The following is a DFT calculation (PBE-GGA) of an optimized crystal structure of Sr5ZnPb3O12.

CIF file:
```
data_Sr5ZnPb3O12
_chemical_formula_sum 'Sr5 Zn1 Pb3 O12'
_symmetry_space_group_name_H-M 'P 3 1 m'
_symmetry_Int_Tables_number 157
_cell_length_a 10.3234
_cell_length_b 10.3234
_cell_length_c 3.5878
_cell_angle_alpha 90.00
_cell_angle_beta 90.00
_cell_angle_gamma 120.00
loop_
_symmetry_equiv_pos_as_xyz
'x,y,z'
'-y,x-y,z'
'-x+y,-x,z'
'y,x,z'
'x-y,-y,z'
'-x,-x+y,z'
loop_
_atom_site_label
_atom_site_fract_x
_atom_site_fract_y
_atom_site_fract_z
Sr1 0.0000 0.3015 0.0000
Sr2 0.3333 0.6667 0.0013
Zn1 0.0000 0.0000 0.0801
Pb1 0.0000 0.6609 0.5005
O1 0.0000 0.5345 0.0018
O2 0.0000 0.8185 0.0288
O3 0.2056 0.4441 0.5051
```

Values from the calculation:
- ΔE_f: -2.321 eV per atom
- Magnetic moment: 0.000 μB/atom
- E: -120.724 eV/cell